DFT (PBE with a Hubbard U) results for an optimized crystal structure of Ta2FeO6.

abc: 4.8200 9.3269 14.4386
angles: 90.00 90.03 90.00
Closest atoms and distances in Å follow each position.
Positions (direct):
Ta (0.0000, 0.0000, 0.0000)  6 O 2.00-2.02
Ta (0.0000, 0.3358, 0.0000)  6 O 1.99-2.03
Ta (0.0042, 0.3450, 0.6650)  4 O 1.87-2.02
Ta (0.0049, 0.9966, 0.3314)  6 O 1.94-2.11
Ta (0.4957, 0.4967, 0.8332)  6 O 1.97-2.04
Ta (0.4970, 0.8353, 0.8344)  6 O 1.98-2.03
Ta (0.5000, 0.1715, 0.5000)  6 O 1.94-2.05
Ta (0.5000, 0.8169, 0.5000)  4 O 1.86-2.01
Ta (0.5030, 0.8353, 0.1656)  6 O 1.98-2.03
Ta (0.5043, 0.4967, 0.1668)  6 O 1.97-2.04
Ta (0.9951, 0.9966, 0.6686)  6 O 1.94-2.11
Ta (0.9958, 0.3450, 0.3350)  4 O 1.87-2.02
Fe (0.0000, 0.6676, 0.0000)  6 O 2.14-2.19
Fe (0.0051, 0.6687, 0.6651)  6 O 2.03-2.24
Fe (0.4934, 0.1665, 0.1690)  6 O 2.12-2.21
Fe (0.5000, 0.5018, 0.5000)  6 O 2.04-2.24
Fe (0.5066, 0.1665, 0.8310)  6 O 2.12-2.21
Fe (0.9949, 0.6687, 0.3349)  6 O 2.03-2.24
O (0.1752, 0.1638, 0.2701)  2 Ta 1.97-2.12, 1 Fe 2.12
O (0.1892, 0.1671, 0.9379)  2 Ta 2.02-2.03, 1 Fe 2.17
O (0.1941, 0.4844, 0.5973)  1 Ta 1.87, 1 Fe 2.04
O (0.2028, 0.1674, 0.6019)  3 Ta 2.05-2.12
O (0.2048, 0.8552, 0.5954)  2 Ta 1.97-2.01
O (0.2058, 0.4868, 0.9314)  2 Ta 1.99, 1 Fe 2.19
O (0.2070, 0.8479, 0.9313)  2 Ta 1.98-2.00, 1 Fe 2.19
O (0.2093, 0.8496, 0.2656)  2 Ta 1.94-2.03
O (0.2136, 0.4848, 0.2661)  2 Ta 1.95-2.01
O (0.2914, 0.9852, 0.0980)  2 Ta 1.99-2.00, 1 Fe 2.20
O (0.2926, 0.3485, 0.0978)  2 Ta 1.99-2.00, 1 Fe 2.21
O (0.2935, 0.3456, 0.7655)  2 Ta 1.97-2.01, 1 Fe 2.18
O (0.2945, 0.3149, 0.4309)  2 Ta 1.94-2.02
O (0.2952, 0.9859, 0.7640)  2 Ta 1.99-2.00, 1 Fe 2.19
O (0.3012, 0.6833, 0.4307)  1 Ta 1.86, 1 Fe 2.03
O (0.3034, 0.0072, 0.4346)  3 Ta 2.03-2.22
O (0.3104, 0.6669, 0.7713)  2 Ta 2.03, 1 Fe 2.12
O (0.3117, 0.6667, 0.1051)  2 Ta 2.02-2.04, 1 Fe 2.14
O (0.6883, 0.6667, 0.8949)  2 Ta 2.02-2.04, 1 Fe 2.14
O (0.6896, 0.6669, 0.2287)  2 Ta 2.03, 1 Fe 2.12
O (0.6966, 0.0072, 0.5654)  3 Ta 2.03-2.22
O (0.6988, 0.6833, 0.5693)  1 Ta 1.86, 1 Fe 2.03
O (0.7055, 0.3149, 0.5691)  2 Ta 1.94-2.02
O (0.7048, 0.9859, 0.2360)  2 Ta 1.99-2.00, 1 Fe 2.19
O (0.7065, 0.3456, 0.2345)  2 Ta 1.97-2.01, 1 Fe 2.18
O (0.7074, 0.3485, 0.9022)  2 Ta 1.99-2.00, 1 Fe 2.21
O (0.7086, 0.9852, 0.9020)  2 Ta 1.99-2.00, 1 Fe 2.20
O (0.7864, 0.4848, 0.7339)  2 Ta 1.95-2.01
O (0.7907, 0.8496, 0.7344)  2 Ta 1.94-2.03
O (0.7930, 0.8479, 0.0687)  2 Ta 1.98-2.00, 1 Fe 2.19
O (0.7942, 0.4868, 0.0686)  2 Ta 1.99, 1 Fe 2.19
O (0.7952, 0.8552, 0.4046)  2 Ta 1.97-2.01
O (0.7972, 0.1674, 0.3981)  3 Ta 2.05-2.12
O (0.8059, 0.4844, 0.4027)  1 Ta 1.87, 1 Fe 2.04
O (0.8108, 0.1671, 0.0621)  2 Ta 2.02-2.03, 1 Fe 2.17
O (0.8248, 0.1638, 0.7299)  2 Ta 1.97-2.12, 1 Fe 2.12

Excess energy over the best structure of this formula in the dataset (meV per atom): 8
Total magnetization (μB per formula unit): 4.00
Symmetry: P2 (3)

=====

DFT (PBE with a Hubbard U) results for an optimized crystal structure of TaFeO4.

abc: 6.1424 6.1424 4.9433
angles: 111.97 111.97 113.15
Closest atoms and distances in Å follow each position.
Positions (direct):
Ta (0.1283, 0.8717, 0.7500)  6 O 2.01-2.23
Ta (0.8717, 0.1283, 0.2500)  6 O 2.01-2.23
Fe (0.3942, 0.6058, 0.2500)  4 O 1.92-1.94
Fe (0.6058, 0.3942, 0.7500)  4 O 1.92-1.94
O (0.1123, 0.5237, 0.3533)  1 Fe 1.92, 1 Ta 2.01
O (0.1777, 0.2593, 0.7515)  1 Fe 1.94, 1 Ta 2.04
O (0.2593, 0.1777, 0.2515)  1 Fe 1.94, 1 Ta 2.04
O (0.4763, 0.8877, 0.1467)  1 Fe 1.92, 1 Ta 2.01
O (0.5237, 0.1123, 0.8533)  1 Fe 1.92, 1 Ta 2.01
O (0.7407, 0.8223, 0.7485)  1 Fe 1.94, 1 Ta 2.04
O (0.8223, 0.7407, 0.2485)  1 Fe 1.94, 1 Ta 2.04
O (0.8877, 0.4763, 0.6467)  1 Fe 1.92, 1 Ta 2.01

E (eV/atom): -8.42
Total magnetization (μB per formula unit): 5.00
Symmetry: C2/c (15)

=====

DFT (PBE with a Hubbard U) results for an optimized crystal structure of TaFeO3.

abc: 3.9794 3.9794 3.9794
angles: 90.00 90.00 90.00
Closest atoms and distances in Å follow each position.
Positions (direct):
Ta (0.0000, 0.0000, 0.0000)  6 O 1.99
Fe (0.5000, 0.5000, 0.5000)  12 O 2.81
O (0.0000, 0.0000, 0.5000)  2 Ta 1.99
O (0.0000, 0.5000, 0.0000)  2 Ta 1.99
O (0.5000, 0.0000, 0.0000)  2 Ta 1.99

E (eV/atom): -8.31
Total magnetization (μB per formula unit): 3.01
Symmetry: Pm-3m (221)

=====

DFT (PBE with a Hubbard U) results for an optimized crystal structure of TaTiFeO6.

abc: 4.7094 10.2379 9.4188
angles: 62.62 89.99 90.00
Closest atoms and distances in Å follow each position.
Positions (direct):
O (0.8032, 0.8379, 0.9826)  1 Ti 1.97, 1 Ta 2.02, 1 Fe 2.03
O (0.6968, 0.3379, 0.4826)  1 Ti 1.97, 1 Ta 2.02, 1 Fe 2.03
O (0.2000, 0.4962, 0.8519)  1 Ta 1.99, 1 Ti 2.00, 1 Fe 2.05
O (0.7003, 0.9962, 0.6518)  1 Ta 1.99, 1 Ti 2.00, 1 Fe 2.05
O (0.6926, 0.6653, 0.8211)  1 Ti 1.98, 1 Ta 2.00, 1 Fe 2.05
O (0.1926, 0.1655, 0.0136)  1 Ti 1.98, 1 Ta 2.00, 1 Fe 2.05
O (0.1926, 0.1654, 0.5136)  1 Ti 1.98, 1 Ta 2.00, 1 Fe 2.05
O (0.7002, 0.9962, 0.1519)  1 Ta 1.99, 1 Ti 2.00, 1 Fe 2.06
O (0.3074, 0.6654, 0.5136)  1 Ti 1.98, 1 Ta 2.00, 1 Fe 2.05
O (0.8074, 0.1653, 0.8210)  1 Ti 1.98, 1 Ta 2.00, 1 Fe 2.05
O (0.1970, 0.8378, 0.1795)  1 Ti 1.97, 1 Ta 2.02, 1 Fe 2.03
O (0.7997, 0.4961, 0.1519)  1 Ta 1.99, 1 Ti 2.00, 1 Fe 2.05
O (0.3074, 0.6654, 0.0136)  1 Ti 1.98, 1 Ta 2.00, 1 Fe 2.05
O (0.7997, 0.4962, 0.6518)  1 Ta 1.99, 1 Ti 2.00, 1 Fe 2.05
O (0.3030, 0.3379, 0.6795)  1 Ti 1.97, 1 Ta 2.02, 1 Fe 2.03
O (0.6968, 0.3379, 0.9826)  1 Ti 1.97, 1 Ta 2.02, 1 Fe 2.03
O (0.2000, 0.4962, 0.3520)  1 Ta 1.99, 1 Ti 2.00, 1 Fe 2.05
O (0.6926, 0.6653, 0.3211)  1 Ti 1.98, 1 Ta 2.00, 1 Fe 2.05
O (0.3000, 0.9962, 0.8519)  1 Ta 1.99, 1 Ti 2.00, 1 Fe 2.05
O (0.3000, 0.9963, 0.3520)  1 Ta 1.99, 1 Ti 2.00, 1 Fe 2.05
O (0.8032, 0.8378, 0.4827)  1 Ti 1.97, 1 Ta 2.02, 1 Fe 2.03
O (0.1970, 0.8379, 0.6795)  1 Ti 1.97, 1 Ta 2.02, 1 Fe 2.03
O (0.3030, 0.3379, 0.1795)  1 Ti 1.97, 1 Ta 2.02, 1 Fe 2.02
O (0.8074, 0.1653, 0.3211)  1 Ti 1.98, 1 Ta 2.00, 1 Fe 2.05
Ta (0.0001, 0.3341, 0.3330)  6 O 1.99-2.02
Ta (0.4998, 0.8339, 0.8330)  6 O 1.99-2.02
Ta (0.0002, 0.3339, 0.8331)  6 O 1.99-2.02
Ta (0.5000, 0.8341, 0.3330)  6 O 1.99-2.02
Ti (0.5002, 0.4994, 0.5004)  6 O 1.97-2.00
Ti (0.9999, 0.9992, 0.0003)  6 O 1.97-2.00
Ti (0.9998, 0.9994, 0.5003)  6 O 1.97-2.00
Ti (0.5001, 0.4993, 0.0003)  6 O 1.97-2.00
Fe (0.4999, 0.1676, 0.6661)  6 O 2.03-2.05
Fe (0.9999, 0.6676, 0.6660)  6 O 2.03-2.05
Fe (0.5001, 0.1682, 0.1661)  6 O 2.02-2.06
Fe (0.0001, 0.6677, 0.1660)  6 O 2.03-2.05

E (eV/atom): -8.65
Total magnetization (μB per formula unit): 0.00